No. 1
Compound: AlH10N2OF5
Source: Materials Project
Functional: r²SCAN
Structure: relaxed Values from VASP.

Cell and atoms, written as Quantum ESPRESSO input:
```
&SYSTEM
  ibrav = 0, nat = 76, ntyp = 5
/
ATOMIC_SPECIES
Al 26.98 Al.upf
H 1.01 H.upf
N 14.01 N.upf
O 16.00 O.upf
F 19.00 F.upf
CELL_PARAMETERS angstrom
10.348 0.000 0.000
0.000 8.019 0.000
0.000 0.000 7.592
ATOMIC_POSITIONS crystal
Al 0.000 0.197 0.250
Al 0.000 0.803 0.750
Al 0.500 0.303 0.750
Al 0.500 0.697 0.250
H 0.020 0.108 0.644
H 0.020 0.892 0.144
H 0.117 0.489 0.397
H 0.117 0.511 0.897
H 0.178 0.371 0.043
H 0.178 0.629 0.543
H 0.241 0.084 0.360
H 0.241 0.916 0.860
H 0.247 0.442 0.522
H 0.247 0.558 0.022
H 0.253 0.058 0.022
H 0.253 0.942 0.522
H 0.259 0.416 0.860
H 0.259 0.584 0.360
H 0.322 0.129 0.543
H 0.322 0.871 0.043
H 0.383 0.011 0.897
H 0.383 0.989 0.397
H 0.480 0.392 0.144
H 0.480 0.608 0.644
H 0.520 0.392 0.356
H 0.520 0.608 0.856
H 0.617 0.011 0.603
H 0.617 0.989 0.103
H 0.678 0.129 0.957
H 0.678 0.871 0.457
H 0.741 0.416 0.640
H 0.741 0.584 0.140
H 0.747 0.058 0.478
H 0.747 0.942 0.978
H 0.753 0.442 0.978
H 0.753 0.558 0.478
H 0.759 0.084 0.140
H 0.759 0.916 0.640
H 0.822 0.371 0.457
H 0.822 0.629 0.957
H 0.883 0.489 0.103
H 0.883 0.511 0.603
H 0.980 0.108 0.856
H 0.980 0.892 0.356
N 0.200 0.465 0.955
N 0.200 0.535 0.455
N 0.300 0.035 0.455
N 0.300 0.965 0.955
N 0.700 0.035 0.045
N 0.700 0.965 0.545
N 0.800 0.465 0.545
N 0.800 0.535 0.045
O 0.000 0.039 0.750
O 0.000 0.961 0.250
O 0.500 0.461 0.250
O 0.500 0.539 0.750
F 0.000 0.423 0.250
F 0.000 0.577 0.750
F 0.054 0.199 0.474
F 0.054 0.801 0.974
F 0.168 0.195 0.176
F 0.168 0.805 0.676
F 0.332 0.305 0.676
F 0.332 0.695 0.176
F 0.446 0.301 0.974
F 0.446 0.699 0.474
F 0.500 0.077 0.750
F 0.500 0.923 0.250
F 0.554 0.301 0.526
F 0.554 0.699 0.026
F 0.668 0.305 0.824
F 0.668 0.695 0.324
F 0.832 0.195 0.324
F 0.832 0.805 0.824
F 0.946 0.199 0.026
F 0.946 0.801 0.526
```

Results
The value obtained for the total moment is 0.00 μB/f.u. The total energy comes out at -446.22 eV per cell. The crystal system is orthorhombic. The formation energy from the elements comes out at -154.44 kJ per mole of atoms.

***

No. 2
Compound: Nd2GeB2O8
Source: Materials Project
Functional: r²SCAN
Structure: relaxed Values from VASP.

Cell and atoms, written as Quantum ESPRESSO input:
```
&SYSTEM
  ibrav = 0, nat = 52, ntyp = 4
/
ATOMIC_SPECIES
Nd 144.24 Nd.upf
Ge 72.64 Ge.upf
B 10.81 B.upf
O 16.00 O.upf
CELL_PARAMETERS angstrom
13.751 0.000 0.000
0.000 4.485 0.000
0.000 0.000 9.494
ATOMIC_POSITIONS crystal
Nd 0.141 0.042 0.026
Nd 0.141 0.958 0.526
Nd 0.359 0.458 0.526
Nd 0.359 0.542 0.026
Nd 0.641 0.458 0.974
Nd 0.641 0.542 0.474
Nd 0.859 0.042 0.474
Nd 0.859 0.958 0.974
Ge 0.000 0.424 0.750
Ge 0.000 0.576 0.250
Ge 0.500 0.076 0.250
Ge 0.500 0.924 0.750
B 0.200 0.467 0.295
B 0.200 0.533 0.795
B 0.300 0.033 0.795
B 0.300 0.967 0.295
B 0.700 0.033 0.705
B 0.700 0.967 0.205
B 0.800 0.467 0.205
B 0.800 0.533 0.705
O 0.005 0.206 0.900
O 0.005 0.794 0.400
O 0.106 0.349 0.233
O 0.106 0.651 0.733
O 0.192 0.462 0.446
O 0.192 0.538 0.946
O 0.219 0.226 0.739
O 0.219 0.774 0.239
O 0.281 0.274 0.239
O 0.281 0.726 0.739
O 0.308 0.038 0.946
O 0.308 0.962 0.446
O 0.394 0.151 0.733
O 0.394 0.849 0.233
O 0.495 0.294 0.400
O 0.495 0.706 0.900
O 0.505 0.294 0.100
O 0.505 0.706 0.600
O 0.606 0.151 0.767
O 0.606 0.849 0.267
O 0.692 0.038 0.554
O 0.692 0.962 0.054
O 0.719 0.274 0.261
O 0.719 0.726 0.761
O 0.781 0.226 0.761
O 0.781 0.774 0.261
O 0.808 0.462 0.054
O 0.808 0.538 0.554
O 0.894 0.349 0.267
O 0.894 0.651 0.767
O 0.995 0.206 0.600
O 0.995 0.794 0.100
```

Results
The value obtained for the total moment is 0.00 μB/f.u. The total energy comes out at -696.33 eV per cell. The crystal system is orthorhombic. The formation energy from the elements comes out at -288.73 kJ per mole of atoms.

***

No. 3
Compound: Zr5P7Pd9
Source: Materials Project
Functional: r²SCAN
Structure: relaxed Values from VASP.

Cell and atoms, written as Quantum ESPRESSO input:
```
&SYSTEM
  ibrav = 0, nat = 21, ntyp = 3
/
ATOMIC_SPECIES
Zr 91.22 Zr.upf
P 30.97 P.upf
Pd 106.42 Pd.upf
CELL_PARAMETERS angstrom
3.832 0.000 0.000
0.000 13.241 3.260
0.000 -13.241 3.260
ATOMIC_POSITIONS crystal
Zr 0.000 0.000 0.000
Zr 0.000 0.295 0.473
Zr 0.000 0.473 0.295
Zr 0.500 0.019 0.562
Zr 0.500 0.562 0.019
P 0.000 0.291 0.863
P 0.000 0.601 0.601
P 0.000 0.863 0.291
P 0.500 0.031 0.167
P 0.500 0.167 0.031
P 0.500 0.444 0.732
P 0.500 0.732 0.444
Pd 0.000 0.263 0.657
Pd 0.000 0.657 0.263
Pd 0.000 0.693 0.972
Pd 0.000 0.972 0.693
Pd 0.500 0.018 0.335
Pd 0.500 0.335 0.018
Pd 0.500 0.356 0.356
Pd 0.500 0.675 0.792
Pd 0.500 0.792 0.675
```

Results
The value obtained for the total moment is 0.00 μB/f.u. The total energy comes out at -404.33 eV per cell. The crystal system is orthorhombic. The formation energy from the elements comes out at -96.13 kJ per mole of atoms.

***

No. 4
Compound: NdAu
Source: Materials Project
Functional: r²SCAN
Structure: relaxed Values from VASP.

Cell and atoms, written as Quantum ESPRESSO input:
```
&SYSTEM
  ibrav = 0, nat = 4, ntyp = 2
/
ATOMIC_SPECIES
Nd 144.24 Nd.upf
Au 196.97 Au.upf
CELL_PARAMETERS angstrom
1.942 -5.657 0.000
1.942 5.657 0.000
0.000 0.000 4.747
ATOMIC_POSITIONS crystal
Nd 0.137 0.863 0.750
Nd 0.863 0.137 0.250
Au 0.413 0.587 0.750
Au 0.587 0.413 0.250
```

Results
The value obtained for the total moment is 0.00 μB/f.u. The total energy comes out at -163.64 eV per cell. The crystal system is orthorhombic. The formation energy from the elements comes out at -87.74 kJ per mole of atoms.

***

No. 5
Compound: NaB6H6
Source: Materials Project
Functional: r²SCAN
Structure: relaxed Values from VASP.

Cell and atoms, written as Quantum ESPRESSO input:
```
&SYSTEM
  ibrav = 0, nat = 52, ntyp = 3
/
ATOMIC_SPECIES
Na 22.99 Na.upf
B 10.81 B.upf
H 1.01 H.upf
CELL_PARAMETERS angstrom
6.922 0.000 0.000
0.000 10.516 0.000
-6.282 0.000 6.962
ATOMIC_POSITIONS crystal
Na 0.112 0.191 0.127
Na 0.112 0.309 0.627
Na 0.888 0.691 0.373
Na 0.888 0.809 0.873
B 0.205 0.023 0.928
B 0.205 0.477 0.428
B 0.263 0.603 0.334
B 0.263 0.897 0.834
B 0.265 0.058 0.776
B 0.265 0.442 0.276
B 0.406 0.607 0.577
B 0.406 0.893 0.077
B 0.410 0.153 0.984
B 0.410 0.347 0.484
B 0.497 0.050 0.170
B 0.497 0.450 0.670
B 0.503 0.550 0.330
B 0.503 0.950 0.830
B 0.590 0.653 0.516
B 0.590 0.847 0.016
B 0.594 0.107 0.923
B 0.594 0.393 0.423
B 0.735 0.558 0.724
B 0.735 0.942 0.224
B 0.737 0.103 0.166
B 0.737 0.397 0.666
B 0.795 0.523 0.572
B 0.795 0.977 0.072
H 0.007 0.540 0.627
H 0.007 0.960 0.127
H 0.095 0.095 0.616
H 0.095 0.405 0.116
H 0.095 0.676 0.218
H 0.095 0.824 0.718
H 0.342 0.683 0.634
H 0.342 0.817 0.134
H 0.348 0.239 0.474
H 0.348 0.261 0.974
H 0.500 0.083 0.294
H 0.500 0.417 0.794
H 0.500 0.583 0.206
H 0.500 0.917 0.706
H 0.652 0.739 0.026
H 0.652 0.761 0.526
H 0.658 0.183 0.866
H 0.658 0.317 0.366
H 0.905 0.176 0.282
H 0.905 0.324 0.782
H 0.905 0.595 0.884
H 0.905 0.905 0.384
H 0.993 0.040 0.873
H 0.993 0.460 0.373
```

Results
The value obtained for the total moment is 0.00 μB/f.u. The total energy comes out at -292.29 eV per cell. The crystal system is monoclinic. The formation energy from the elements comes out at -34.88 kJ per mole of atoms.

***

No. 6
Compound: FeSnRh2
Source: Materials Project
Functional: r²SCAN
Structure: relaxed Values from VASP.

Cell and atoms, written as Quantum ESPRESSO input:
```
&SYSTEM
  ibrav = 0, nat = 4, ntyp = 3
/
ATOMIC_SPECIES
Fe 55.84 Fe.upf
Sn 118.71 Sn.upf
Rh 102.91 Rh.upf
CELL_PARAMETERS angstrom
-2.065 2.065 3.511
2.065 -2.065 3.511
2.065 2.065 -3.511
ATOMIC_POSITIONS crystal
Fe 0.000 0.000 0.000
Sn 0.500 0.500 0.000
Rh 0.250 0.750 0.500
Rh 0.750 0.250 0.500
```

Results
The value obtained for the total moment is 4.13 μB/f.u. The total energy comes out at -88.94 eV per cell. The crystal system is tetragonal. The formation energy from the elements comes out at -36.45 kJ per mole of atoms.

***

No. 7
Compound: Ag3F8
Source: Materials Project
Functional: r²SCAN
Structure: relaxed Values from VASP.

Cell and atoms, written as Quantum ESPRESSO input:
```
&SYSTEM
  ibrav = 0, nat = 22, ntyp = 2
/
ATOMIC_SPECIES
Ag 107.87 Ag.upf
F 19.00 F.upf
CELL_PARAMETERS angstrom
4.906 0.000 0.000
0.000 11.112 0.000
-4.311 0.000 5.397
ATOMIC_POSITIONS crystal
Ag 0.000 0.000 0.000
Ag 0.000 0.500 0.500
Ag 0.249 0.185 0.524
Ag 0.249 0.315 0.024
Ag 0.751 0.685 0.976
Ag 0.751 0.815 0.476
F 0.055 0.717 0.767
F 0.055 0.783 0.267
F 0.087 0.034 0.339
F 0.087 0.466 0.839
F 0.418 0.168 0.212
F 0.418 0.332 0.712
F 0.465 0.592 0.668
F 0.465 0.908 0.168
F 0.535 0.092 0.832
F 0.535 0.408 0.332
F 0.582 0.668 0.288
F 0.582 0.832 0.788
F 0.913 0.534 0.161
F 0.913 0.966 0.661
F 0.945 0.217 0.733
F 0.945 0.283 0.233
```

Results
The value obtained for the total moment is 1.00 μB/f.u. The total energy comes out at -204.51 eV per cell. The crystal system is monoclinic. The formation energy from the elements comes out at -115.59 kJ per mole of atoms.

***

No. 8
Compound: LiPb3
Source: Materials Project
Functional: r²SCAN
Structure: relaxed Values from VASP.

Cell and atoms, written as Quantum ESPRESSO input:
```
&SYSTEM
  ibrav = 0, nat = 4, ntyp = 2
/
ATOMIC_SPECIES
Li 6.94 Li.upf
Pb 207.20 Pb.upf
CELL_PARAMETERS angstrom
-2.390 2.390 4.891
2.390 -2.390 4.891
2.390 2.390 -4.891
ATOMIC_POSITIONS crystal
Li 0.000 0.000 0.000
Pb 0.250 0.750 0.500
Pb 0.500 0.500 0.000
Pb 0.750 0.250 0.500
```

Results
The value obtained for the total moment is 0.00 μB/f.u. The total energy comes out at -171.80 eV per cell. The crystal system is tetragonal. The formation energy from the elements comes out at -13.46 kJ per mole of atoms.

***

No. 9
Compound: SbCl3F2
Source: Materials Project
Functional: r²SCAN
Structure: relaxed Values from VASP.

Cell and atoms, written as Quantum ESPRESSO input:
```
&SYSTEM
  ibrav = 0, nat = 24, ntyp = 3
/
ATOMIC_SPECIES
Sb 121.76 Sb.upf
Cl 35.45 Cl.upf
F 19.00 F.upf
CELL_PARAMETERS angstrom
-6.524 6.524 3.553
6.524 -6.524 3.553
6.524 6.524 -3.553
ATOMIC_POSITIONS crystal
Sb 0.515 0.280 0.328
Sb 0.720 0.048 0.235
Sb 0.813 0.485 0.765
Sb 0.952 0.187 0.672
Cl 0.043 0.400 0.275
Cl 0.045 0.043 0.598
Cl 0.097 0.302 0.920
Cl 0.124 0.768 0.725
Cl 0.232 0.957 0.356
Cl 0.382 0.177 0.080
Cl 0.445 0.447 0.402
Cl 0.553 0.955 0.998
Cl 0.600 0.876 0.644
Cl 0.698 0.618 0.795
Cl 0.823 0.903 0.205
Cl 0.957 0.555 0.002
F 0.196 0.456 0.659
F 0.464 0.804 0.260
F 0.544 0.204 0.740
F 0.628 0.170 0.302
F 0.675 0.372 0.542
F 0.796 0.536 0.341
F 0.830 0.133 0.458
F 0.867 0.325 0.698
```

Results
The value obtained for the total moment is 0.00 μB/f.u. The total energy comes out at -236.11 eV per cell. Its energy relative to the lowest polymorph listed for this composition is 0.00 eV per formula unit. The crystal system is tetragonal. The formation energy from the elements comes out at -138.50 kJ per mole of atoms.

***

No. 10
Compound: CdPHO3
Source: Materials Project
Functional: r²SCAN
Structure: relaxed Values from VASP.

Cell and atoms, written as Quantum ESPRESSO input:
```
&SYSTEM
  ibrav = 0, nat = 36, ntyp = 4
/
ATOMIC_SPECIES
Cd 112.41 Cd.upf
P 30.97 P.upf
H 1.01 H.upf
O 16.00 O.upf
CELL_PARAMETERS angstrom
6.781 3.915 2.805
-6.781 3.915 2.805
0.000 -7.829 2.805
ATOMIC_POSITIONS crystal
Cd 0.142 0.316 0.822
Cd 0.178 0.858 0.684
Cd 0.316 0.822 0.142
Cd 0.684 0.178 0.858
Cd 0.822 0.142 0.316
Cd 0.858 0.684 0.178
P 0.121 0.473 0.265
P 0.265 0.121 0.473
P 0.473 0.265 0.121
P 0.527 0.735 0.879
P 0.735 0.879 0.527
P 0.879 0.527 0.735
H 0.271 0.472 0.405
H 0.405 0.271 0.472
H 0.472 0.405 0.271
H 0.528 0.595 0.729
H 0.595 0.729 0.528
H 0.729 0.528 0.595
O 0.057 0.730 0.846
O 0.084 0.631 0.376
O 0.129 0.191 0.519
O 0.154 0.943 0.270
O 0.191 0.519 0.129
O 0.270 0.154 0.943
O 0.369 0.624 0.916
O 0.376 0.084 0.631
O 0.481 0.871 0.809
O 0.519 0.129 0.191
O 0.624 0.916 0.369
O 0.631 0.376 0.084
O 0.730 0.846 0.057
O 0.809 0.481 0.871
O 0.846 0.057 0.730
O 0.871 0.809 0.481
O 0.916 0.369 0.624
O 0.943 0.270 0.154
```

Results
The value obtained for the total moment is 0.00 μB/f.u. The total energy comes out at -363.87 eV per cell. The crystal system is trigonal. The formation energy from the elements comes out at -163.46 kJ per mole of atoms.

***

No. 11
Compound: Y2MgSe4
Source: Materials Project
Functional: r²SCAN
Structure: relaxed Values from VASP.

Cell and atoms, written as Quantum ESPRESSO input:
```
&SYSTEM
  ibrav = 0, nat = 14, ntyp = 3
/
ATOMIC_SPECIES
Y 88.91 Y.upf
Mg 24.30 Mg.upf
Se 78.96 Se.upf
CELL_PARAMETERS angstrom
0.000 5.818 5.818
5.818 0.000 5.818
5.818 5.818 0.000
ATOMIC_POSITIONS crystal
Y 0.000 0.000 0.000
Y 0.000 0.000 0.500
Y 0.000 0.500 0.000
Y 0.500 0.000 0.000
Mg 0.375 0.375 0.375
Mg 0.625 0.625 0.625
Se 0.237 0.754 0.754
Se 0.246 0.246 0.246
Se 0.246 0.246 0.763
Se 0.246 0.763 0.246
Se 0.754 0.237 0.754
Se 0.754 0.754 0.237
Se 0.754 0.754 0.754
Se 0.763 0.246 0.246
```

Results
The value obtained for the total moment is 0.00 μB/f.u. The total energy comes out at -231.93 eV per cell. The crystal system is cubic. The formation energy from the elements comes out at -191.93 kJ per mole of atoms.

***

No. 12
Compound: NaAcIn2
Source: Materials Project
Functional: r²SCAN
Structure: relaxed Values from VASP.

Cell and atoms, written as Quantum ESPRESSO input:
```
&SYSTEM
  ibrav = 0, nat = 4, ntyp = 3
/
ATOMIC_SPECIES
Na 22.99 Na.upf
Ac 227.00 Ac.upf
In 114.82 In.upf
CELL_PARAMETERS angstrom
0.000 3.953 3.953
3.953 0.000 3.953
3.953 3.953 0.000
ATOMIC_POSITIONS crystal
Na 0.000 0.000 0.000
Ac 0.500 0.500 0.500
In 0.250 0.250 0.250
In 0.750 0.750 0.750
```

Results
The value obtained for the total moment is 0.00 μB/f.u. The total energy comes out at -118.93 eV per cell. The crystal system is cubic. The formation energy from the elements comes out at -37.86 kJ per mole of atoms.